[1]
This record from the Materials Project describes a geometry-optimized Rb2InAuF6 structure. The functional is PBE. Values from VASP.

Quantum ESPRESSO input file:
```
&SYSTEM
  ibrav = 0, nat = 10, ntyp = 4
/
ATOMIC_SPECIES
Rb 85.47 Rb.upf
In 114.82 In.upf
Au 196.97 Au.upf
F 19.00 F.upf
CELL_PARAMETERS angstrom
0.000 4.588 4.588
4.588 0.000 4.588
4.588 4.588 0.000
ATOMIC_POSITIONS angstrom
Rb 2.294 2.294 2.294
Rb 6.882 6.882 6.882
In 0.000 0.000 0.000
Au 4.588 4.588 4.588
F 4.588 4.588 2.110
F 4.588 2.110 4.588
F 7.066 4.588 4.588
F 2.110 4.588 4.588
F 4.588 7.066 4.588
F 4.588 4.588 7.066
```

space-group type = Fm-3m, No. 225
E_tot = -0.151 Ha/atom
M_tot = 0.00 μB/cell


[2]
This record from the Materials Project describes a geometry-optimized Al3Mo8S16 structure. The functional is PBE. Values from VASP.

Quantum ESPRESSO input file:
```
&SYSTEM
  ibrav = 0, nat = 27, ntyp = 3
/
ATOMIC_SPECIES
Al 26.98 Al.upf
Mo 95.94 Mo.upf
S 32.06 S.upf
CELL_PARAMETERS angstrom
7.043 0.000 0.000
0.000 7.043 0.000
0.000 0.000 9.948
ATOMIC_POSITIONS angstrom
Al 0.000 0.000 0.000
Al 0.000 3.521 7.430
Al 3.521 0.000 2.518
Mo 0.000 2.112 3.550
Mo 0.000 4.931 3.550
Mo 1.478 3.521 1.511
Mo 2.112 0.000 6.398
Mo 3.521 1.478 8.438
Mo 3.521 5.565 8.438
Mo 4.931 0.000 6.398
Mo 5.565 3.521 1.511
S 0.000 1.624 6.119
S 0.000 1.758 1.270
S 0.000 5.285 1.270
S 0.000 5.419 6.119
S 1.624 0.000 3.829
S 1.758 0.000 8.678
S 1.873 3.521 3.833
S 1.890 3.521 8.792
S 3.521 1.873 6.115
S 3.521 1.890 1.156
S 3.521 5.153 1.156
S 3.521 5.170 6.115
S 5.153 3.521 8.792
S 5.170 3.521 3.833
S 5.285 0.000 8.678
S 5.419 0.000 3.829
```

space-group type = P-4m2, No. 115
E_tot = -0.251 Ha/atom
M_tot = 0.06 μB/cell


no.,ΔE_f (eV per atom)
1,-2.44
2,-1.06